First-principles (r²SCAN) data for a geometry-optimized CsAsOF4 structure, as listed in the Materials Project.

Structure (extended XYZ):
```
28
Lattice="-1.019 5.052 3.928 2.588 -2.376 3.728 12.687 5.216 -3.418" Properties=species:S:1:pos:R:3 pbc="T T T"
Cs 9.241 3.080 -0.280
Cs 2.633 1.784 2.449
Cs 11.623 6.107 1.788
Cs 5.015 4.812 4.518
As 14.087 3.057 0.885
As 6.800 6.016 0.534
As 0.169 4.835 3.352
As 7.456 1.876 3.703
O 0.518 -0.022 1.089
O 7.727 3.655 3.574
O 6.528 4.237 0.663
O 13.738 7.914 3.148
F 0.032 3.067 3.374
F 3.339 2.295 5.422
F 10.916 5.597 -1.185
F 4.086 4.407 1.576
F 4.175 -0.856 3.023
F 12.439 3.263 0.280
F 5.825 1.999 3.034
F 4.671 2.506 0.149
F 8.015 1.548 2.053
F 14.223 4.825 0.863
F 1.817 4.629 3.957
F 10.169 3.485 2.661
F 10.080 8.748 1.214
F 6.241 6.343 2.185
F 8.431 5.893 1.203
F 9.585 5.385 4.088
```

Properties
Density in g cm⁻³: 4.268
Energy of formation in eV/atom: -2.42
SG: No. 14

***

First-principles (r²SCAN) data for a geometry-optimized Na3Co2SbO6 structure, as listed in the Materials Project.

Structure (extended XYZ):
```
12
Lattice="-1.651 -1.140 -4.951 -3.674 -3.016 2.930 -0.985 4.738 1.924" Properties=species:S:1:pos:R:3 pbc="T T T"
Na -3.153 0.294 -0.050
Na -3.351 -1.613 -2.283
Na -2.960 2.195 2.186
Co -1.436 0.826 -2.667
Co -4.874 -0.245 2.570
Sb -6.309 0.581 -0.097
O -2.693 2.046 -1.715
O -3.619 -1.465 1.616
O -5.032 -0.531 -1.130
O -1.418 -0.802 -1.196
O -4.893 1.381 1.101
O -1.275 1.116 1.034
```

Properties
Density in g cm⁻³: 5.223
Energy of formation in eV/atom: -1.57
SG: No. 2

***

First-principles (r²SCAN) data for a geometry-optimized LiIn structure, as listed in the Materials Project.

Structure (extended XYZ):
```
4
Lattice="-0.775 4.753 0.164 -3.282 1.803 3.034 1.411 2.540 3.844" Properties=species:S:1:pos:R:3 pbc="T T T"
Li -1.653 5.685 4.401
Li -0.992 3.411 2.641
In -0.331 1.137 0.880
In -2.315 7.959 6.162
```

Properties
Density in g cm⁻³: 5.110
Energy of formation in eV/atom: -0.37
SG: No. 227

***

Look up the energy of formation of the first one.
-2.42 eV/atom

***

Number 2 is which compound?
Na3Co2SbO6